(1)
SrF3: relaxed, PBE.

- total DFT energy (no corrections) (eV/atom) = -4.72
- ΔE_f (eV per atom) = -3.206

Lattice parameters (Å, degrees): 4.121 4.457 6.573 99.43 90.00 90.00
Sites, in units of the cell vectors:
Sr 0.250 0.207 0.292
Sr 0.750 0.793 0.708
F 0.250 0.751 0.470
F 0.750 0.249 0.530
F 0.250 0.106 0.889
F 0.750 0.894 0.111
F 0.250 0.533 0.835
F 0.750 0.467 0.165


(2)
Pr9Sb5O5: relaxed, PBE.

- total DFT energy (no corrections) (eV/atom) = -6.77
- ΔE_f (eV per atom) = -2.293

Lattice parameters (Å, degrees): 10.341 10.341 9.320 90.00 90.00 90.00
Sites, in units of the cell vectors:
Pr 0.727 0.919 0.001
Pr 0.581 0.227 0.001
Pr 0.000 0.500 0.332
Pr 0.773 0.581 0.999
Pr 0.227 0.419 0.999
Pr 0.204 0.896 0.344
Pr 0.273 0.081 0.001
Pr 0.896 0.796 0.656
Pr 0.919 0.273 0.999
Pr 0.296 0.604 0.656
Pr 0.419 0.773 0.001
Pr 0.104 0.204 0.656
Pr 0.796 0.104 0.344
Pr 0.500 0.000 0.668
Pr 0.081 0.727 0.999
Pr 0.396 0.296 0.344
Pr 0.704 0.396 0.656
Pr 0.604 0.704 0.344
Sb 0.500 0.000 0.315
Sb 0.197 0.903 0.700
Sb 0.403 0.303 0.700
Sb 0.000 0.500 0.685
Sb 0.697 0.403 0.300
Sb 0.097 0.197 0.300
Sb 0.597 0.697 0.700
Sb 0.303 0.597 0.300
Sb 0.803 0.097 0.700
Sb 0.903 0.803 0.300
O 0.500 0.000 0.933
O 0.725 0.379 0.910
O 0.621 0.725 0.090
O 0.379 0.275 0.090
O 0.121 0.225 0.910
O 0.275 0.621 0.910
O 0.000 0.500 0.067
O 0.225 0.879 0.090
O 0.879 0.775 0.910
O 0.775 0.121 0.090